A plane-wave DFT calculation with PBE was carried out for an optimized crystal structure of LiMg2Au.

The structure belongs to space group Fm-3m (No. 225); the cell edges are 6.5853, 6.5853 and 6.5853 Å and the angles 90.00°, 90.00° and 90.00°. The asymmetric unit holds Li at (0.0000, 0.0000, 0.0000), Mg at (0.2500, 0.2500, 0.2500) and Au at (0.0000, 0.0000, 0.5000).

The raw total energy is -2.5715 eV/atom.